No. 1
## Li2VO3F (PBE+U)

Data for a relaxed structure of Li2VO3F.

Cell: 5.1501 7.7289 7.7432 Å, 98.41 102.65 103.38°
With the nearest neighbours (Å) after each atom.
Positions (direct):
1 Li 0.0000 0.0000 0.0000  2 F 1.93-2.11, 2 O 2.00-2.06
2 Li 0.0022 0.8992 0.6227  1 F 1.92, 2 O 2.01-2.11
3 Li 0.0079 0.7719 0.2378  2 F 1.92-1.94, 2 O 1.97-1.99
4 Li 0.0161 0.5325 0.4906  2 F 1.91-2.11, 2 O 1.97-2.10
5 Li 0.0196 0.6395 0.8592  2 F 2.02-2.24, 4 O 2.03-2.23
6 Li 0.0485 0.3900 0.1246  4 O 1.97-2.15
7 Li 0.5103 0.6409 0.3555  2 F 2.06-2.20, 4 O 2.06-2.22
8 Li 0.9585 0.1414 0.3482  4 O 2.03-2.21, 1 F 2.03
9 V 0.4708 0.3643 0.5837  3 O 1.73-1.78
10 V 0.5068 0.5505 0.9712  3 O 1.72-1.77
11 V 0.5069 0.9899 0.5011  3 O 1.72-1.78
12 V 0.5322 0.1634 0.9061  3 O 1.69-1.86
13 O 0.2542 0.7898 0.4806  1 V 1.74
14 O 0.2575 0.4016 0.3956  1 V 1.73
15 O 0.2744 0.1541 0.6137  1 V 1.78
16 O 0.2868 0.6161 0.0928  1 V 1.74
17 O 0.3070 0.5196 0.7461  1 V 1.77
18 O 0.3086 0.2695 0.9909  1 V 1.74
19 O 0.6893 0.0253 0.7323  1 V 1.78
20 O 0.6986 0.2636 0.4941  1 V 1.76
21 O 0.7139 0.3837 0.8609  2 V 1.86-2.06
22 O 0.7324 0.9107 0.3971  1 V 1.72
23 O 0.7672 0.1486 0.0894  1 V 1.69
24 O 0.7703 0.7412 0.9923  1 V 1.72
25 F 0.2292 0.0154 0.2654  3 Li 1.92-2.11, 1 V 2.12
26 F 0.2374 0.9264 0.8595  2 Li 1.92-1.93, 1 V 2.02
27 F 0.7689 0.6165 0.6122  2 Li 1.91-2.02, 1 V 2.13
28 F 0.7727 0.5341 0.2330  3 Li 1.94-2.11

## Properties
ΔE to the lowest computed polymorph   0.002 eV/atom
Magnetization   0.00 μB per atom
Energy relative to the elements   -2.55 eV/atom

No. 2
## LiV4O5F7 (PBE+U)

Data for a relaxed structure of LiV4O5F7.

Cell: 5.0909 5.3653 9.0624 Å, 73.67 74.99 62.91°
With the nearest neighbours (Å) after each atom.
Positions (direct):
1 Li 0.0000 0.0000 0.0000  3 F 2.05-2.29, 3 O 2.05-2.27
2 V 0.0880 0.2534 0.6379  1 O 1.70
3 V 0.3683 0.4698 0.8860  1 O 1.70
4 V 0.5656 0.7324 0.1493  2 O 1.79-1.82, 2 F 1.96-1.97
5 V 0.7800 0.9963 0.3883  1 O 1.70
6 O 0.2284 0.4015 0.7233  1 V 1.70
7 O 0.4077 0.5919 0.0558  2 V 1.79-1.92
8 O 0.4156 0.1473 0.4685  1 V 1.70
9 O 0.7382 0.3036 0.8179  1 V 1.70
10 O 0.7431 0.9128 0.2057  2 V 1.82-1.91
11 F 0.2327 0.8154 0.3213  2 V 1.96-2.05
12 F 0.2857 0.8649 0.7723  2 V 1.98-2.03
13 F 0.3112 0.1274 0.0197  2 V 2.00-2.11, 1 Li 2.05
14 F 0.8007 0.3570 0.2657  2 V 1.97-1.98
15 F 0.8448 0.6054 0.5099  2 V 1.96-2.00
16 F 0.9114 0.0612 0.5628  2 V 1.97-2.03
17 F 0.9128 0.6768 0.9664  2 V 2.06-2.09, 1 Li 2.09

## Properties
ΔE to the lowest computed polymorph   0.007 eV/atom
Magnetization   0.24 μB per atom
Energy relative to the elements   -2.80 eV/atom

No. 3
## Ca2CoIrO6 (PBE+U)

Data for a relaxed structure of Ca2CoIrO6.

Cell: 5.3811 7.6573 11.1505 Å, 89.85 89.95 89.86°
With the nearest neighbours (Å) after each atom.
Positions (direct):
1 Ca 0.0000 0.0000 0.0000  6 O 2.31-2.57
2 Ca 0.9996 0.0033 0.5006  6 O 2.30-2.55
3 Ca 0.4703 0.9994 0.7489  6 O 2.31-2.56
4 Ca 0.4714 0.9996 0.2524  6 O 2.31-2.57
5 Ca 0.4998 0.5036 0.6910  6 O 2.30-2.56
6 Ca 0.5011 0.5040 0.1925  6 O 2.31-2.58
7 Ca 0.9695 0.5010 0.4429  6 O 2.31-2.55
8 Ca 0.9702 0.4998 0.9392  6 O 2.30-2.55
9 Co 0.4849 0.7517 0.4712  6 O 1.98-1.99
10 Co 0.4857 0.7509 0.9712  6 O 2.03-2.09
11 Co 0.9851 0.2508 0.2212  6 O 2.02-2.09
12 Co 0.9858 0.2518 0.7205  6 O 1.98-2.00
13 Ir 0.4834 0.2518 0.4734  6 O 1.95-2.01
14 Ir 0.4865 0.2509 0.9688  6 O 1.95-2.01
15 Ir 0.9840 0.7518 0.7182  6 O 1.96-2.00
16 Ir 0.9877 0.7508 0.2236  6 O 1.96-2.02
17 O 0.0809 0.5001 0.7332  1 Co 1.98, 1 Ir 2.00
18 O 0.0819 0.5042 0.2374  1 Ir 1.96, 1 Co 2.02
19 O 0.1747 0.7996 0.8639  1 Ir 1.96, 1 Co 2.09
20 O 0.1842 0.2022 0.8679  1 Co 2.00, 1 Ir 2.01
21 O 0.1853 0.8012 0.3722  1 Co 1.99, 1 Ir 2.01
22 O 0.1916 0.2042 0.3756  1 Ir 1.95, 1 Co 2.08
23 O 0.2831 0.7995 0.1252  1 Ir 1.97, 1 Co 2.07
24 O 0.2845 0.2011 0.6221  1 Co 1.98, 1 Ir 2.01
25 O 0.2855 0.7988 0.6177  1 Co 1.99, 1 Ir 2.00
26 O 0.2952 0.1965 0.1139  1 Ir 1.96, 1 Co 2.09
27 O 0.3873 0.4950 0.9849  1 Ir 1.95, 1 Co 2.04
28 O 0.3878 0.5034 0.4873  1 Co 1.98, 1 Ir 2.00
29 O 0.5814 0.9999 0.4581  1 Co 1.98, 1 Ir 2.01
30 O 0.5828 0.0063 0.9533  1 Ir 1.95, 1 Co 2.03
31 O 0.6751 0.3024 0.3272  1 Ir 1.97, 1 Co 2.08
32 O 0.6839 0.7034 0.3247  1 Co 1.99, 1 Ir 2.02
33 O 0.6846 0.3026 0.8201  1 Co 2.00, 1 Ir 2.01
34 O 0.6907 0.7035 0.8173  1 Ir 1.96, 1 Co 2.07
35 O 0.7796 0.2994 0.0667  1 Ir 1.96, 1 Co 2.08
36 O 0.7850 0.2982 0.5735  1 Co 2.00, 1 Ir 2.00
37 O 0.7846 0.7026 0.5711  1 Co 1.99, 1 Ir 2.00
38 O 0.7967 0.7005 0.0774  1 Ir 1.97, 1 Co 2.09
39 O 0.8891 0.0029 0.7048  1 Co 1.99, 1 Ir 1.99
40 O 0.8900 0.9968 0.2082  1 Ir 1.96, 1 Co 2.02

## Properties
Magnetization   0.06 μB per atom
Energy relative to the elements   -2.10 eV/atom

No. 4
## Li4V3Cr3Fe2O16 (PBE+U)

Data for a relaxed structure of Li4V3Cr3Fe2O16.

Cell: 5.8786 5.9129 9.5910 Å, 89.43 89.81 60.38°
With the nearest neighbours (Å) after each atom.
Positions (direct):
1 Li 0.0000 0.0000 0.0000  4 O 1.79-1.97
2 Li 0.0020 0.9958 0.4985  4 O 1.79-1.97
3 Li 0.3403 0.3360 0.3954  4 O 1.94-2.02
4 Li 0.6739 0.6647 0.8936  4 O 1.95-2.05
5 V 0.1790 0.6564 0.7184  6 O 1.90-2.00
6 V 0.6624 0.1605 0.7165  6 O 1.88-2.07
7 V 0.8283 0.8274 0.2180  6 O 1.88-1.96
8 Cr 0.1700 0.1680 0.7164  6 O 1.98-2.05
9 Cr 0.3401 0.8299 0.2167  6 O 1.98-2.05
10 Cr 0.8330 0.3368 0.2166  6 O 1.99-2.06
11 Fe 0.3217 0.3326 0.9950  6 O 1.96-2.17
12 Fe 0.6619 0.6596 0.4942  6 O 2.00-2.16
13 O 0.0013 0.9922 0.8137  1 Li 1.79, 2 V 1.96-1.97, 1 Cr 1.98
14 O 0.0415 0.4775 0.8413  1 Li 1.95, 1 V 1.99, 1 Cr 2.01, 1 Fe 2.05
15 O 0.1514 0.6733 0.1079  1 V 1.96, 1 Li 1.97, 1 Cr 2.05, 1 Fe 2.07
16 O 0.1632 0.1602 0.1003  1 Li 1.91, 1 Fe 1.96, 2 Cr 2.03
17 O 0.3273 0.8337 0.6025  1 Li 1.94, 1 V 1.99, 1 Fe 2.00, 1 Cr 2.05
18 O 0.3348 0.3370 0.6057  2 V 1.97-1.98, 1 Cr 2.00, 1 Li 2.02
19 O 0.4739 0.4906 0.8380  2 V 1.90-2.07, 1 Li 1.98
20 O 0.4962 0.0386 0.8387  1 V 1.88, 1 Li 1.99, 1 Cr 2.05
21 O 0.5245 0.5199 0.3430  1 Li 1.94, 2 Cr 2.00, 1 Fe 2.03
22 O 0.5359 0.9620 0.3382  1 V 1.89, 1 Li 2.00, 1 Cr 2.05
23 O 0.6741 0.1493 0.1075  1 V 1.96, 1 Li 1.96, 1 Cr 2.06, 1 Fe 2.10
24 O 0.6782 0.6762 0.1067  1 V 1.88, 2 Cr 2.03, 1 Li 2.05
25 O 0.8265 0.3185 0.6058  1 V 1.95, 1 Li 1.96, 1 Fe 2.05, 1 Cr 2.05
26 O 0.8455 0.8253 0.6087  1 Li 1.97, 2 V 2.00-2.02, 1 Fe 2.10
27 O 0.9655 0.5318 0.3381  1 V 1.90, 1 Li 1.99, 1 Cr 2.05
28 O 0.9959 0.9916 0.3116  1 Li 1.79, 1 V 1.92, 2 Cr 1.98-1.99

## Properties
Magnetization   0.75 μB per atom
Energy relative to the elements   -2.27 eV/atom

No. 5
## MgFe3P3O12 (PBE+U)

Data for a relaxed structure of MgFe3P3O12.

Cell: 5.1672 5.3951 11.8444 Å, 89.63 89.83 65.73°
With the nearest neighbours (Å) after each atom.
Positions (direct):
1 Mg 0.0000 0.0000 0.0000  6 O 2.12-2.26
2 Fe 0.0014 0.9982 0.7360  4 O 1.93-2.16
3 Fe 0.4993 0.0001 0.4243  4 O 1.86-1.89
4 Fe 0.5009 0.4972 0.1244  4 O 2.03-2.04
5 P 0.0008 0.9981 0.2386  4 O 1.52-1.57
6 P 0.4987 0.4986 0.5843  4 O 1.52-1.57
7 P 0.5003 0.0006 0.9297  4 O 1.55-1.56
8 O 0.0893 0.7458 0.1592  1 P 1.56
9 O 0.2152 0.1252 0.8641  1 P 1.55
10 O 0.2444 0.6788 0.6544  1 P 1.52
11 O 0.2508 0.9723 0.3129  1 P 1.52
12 O 0.4007 0.3183 0.5068  1 P 1.57
13 O 0.4473 0.7926 0.0075  1 P 1.56
14 O 0.5501 0.2132 0.0044  1 P 1.56
15 O 0.5988 0.6784 0.5060  1 P 1.57
16 O 0.7448 0.0321 0.3115  1 P 1.52
17 O 0.7509 0.3193 0.6559  1 P 1.52
18 O 0.7888 0.8716 0.8664  1 P 1.55
19 O 0.9152 0.2453 0.1549  1 P 1.57

## Properties
ΔE to the lowest computed polymorph   0.044 eV/atom
Magnetization   0.68 μB per atom
Energy relative to the elements   -2.36 eV/atom

Question: Among the records above, which one has the lowest energy relative to the elements?
Answer: LiV4O5F7

Question: Look up the energy relative to the elements of the fourth one.
Answer: -2.27 eV/atom